No. 1
This record from the Materials Project database describes a geometry-optimized BaC2 structure. The functional is PBE.

Its spin magnetization is 0.0 μB/cell. As for the formation energy: 0.082 eV/atom. Its space-group type is C2/c (15).

abc: 4.514 4.514 8.341
angles: 72.96 72.96 63.89
Atoms (fractional coordinates):
Ba: 0.190 0.810 0.250
Ba: 0.810 0.190 0.750
C: 0.414 0.107 0.446
C: 0.893 0.586 0.054
C: 0.107 0.414 0.946
C: 0.586 0.893 0.554

No. 2
This record from the Materials Project database describes a geometry-optimized Rb2GeF6 structure. The functional is PBE.

As for the polymorph energy (0 for the lowest one): 9 meV/atom. As for the formation energy: -3.033 eV/atom. Its space-group type is P-3m1 (164).

abc: 5.964 5.964 4.945
angles: 90.00 90.00 120.00
Atoms (fractional coordinates):
Rb: 0.333 0.667 0.701
Rb: 0.667 0.333 0.299
Ge: 0.000 0.000 0.000
F: 0.853 0.147 0.790
F: 0.853 0.705 0.790
F: 0.295 0.147 0.790
F: 0.147 0.853 0.210
F: 0.147 0.295 0.210
F: 0.705 0.853 0.210

No. 3
This record from the Materials Project database describes a geometry-optimized Ca6TiAl5Si6O25F5 structure. The functional is PBE.

Its spin magnetization is 0.0 μB/cell. As for the formation energy: -3.534 eV/atom. Its space-group type is P1 (1).

abc: 5.405 5.407 38.507
angles: 91.66 91.67 105.72
Atoms (fractional coordinates):
Ca: 0.956 0.285 0.043
Ca: 0.464 0.790 0.209
Ca: 0.963 0.289 0.375
Ca: 0.463 0.789 0.542
Ca: 0.541 0.214 0.127
Ca: 0.962 0.288 0.708
Ca: 0.040 0.713 0.292
Ca: 0.460 0.792 0.872
Ca: 0.539 0.213 0.459
Ca: 0.039 0.713 0.625
Ca: 0.539 0.212 0.791
Ca: 0.031 0.702 0.956
Ti: 0.250 0.241 0.913
Ti: 0.479 0.496 0.997
Al: 0.751 0.748 0.085
Al: 0.002 0.001 0.167
Al: 0.250 0.251 0.250
Al: 0.500 0.500 0.333
Al: 0.750 0.750 0.417
Al: 0.000 0.000 0.500
Al: 0.250 0.250 0.583
Al: 0.500 0.500 0.666
Al: 0.750 0.750 0.749
Al: 0.007 0.001 0.833
Si: 0.191 0.562 0.126
Si: 0.689 0.062 0.292
Si: 0.189 0.562 0.458
Si: 0.310 0.937 0.045
Si: 0.688 0.061 0.625
Si: 0.813 0.440 0.209
Si: 0.188 0.560 0.790
Si: 0.312 0.939 0.375
Si: 0.689 0.060 0.959
Si: 0.812 0.439 0.542
Si: 0.311 0.938 0.708
Si: 0.813 0.442 0.872
O: 0.306 0.165 0.017
O: 0.913 0.504 0.104
O: 0.809 0.677 0.183
O: 0.427 0.559 0.100
O: 0.249 0.839 0.149
O: 0.412 0.004 0.269
O: 0.244 0.661 0.022
O: 0.308 0.177 0.349
O: 0.077 0.949 0.071
O: 0.927 0.059 0.266
O: 0.746 0.338 0.315
O: 0.912 0.504 0.435
O: 0.590 0.996 0.066
O: 0.755 0.163 0.186
O: 0.808 0.677 0.516
O: 0.574 0.442 0.234
O: 0.427 0.558 0.432
O: 0.194 0.324 0.152
O: 0.246 0.838 0.481
O: 0.412 0.004 0.602
O: 0.089 0.497 0.232
O: 0.254 0.662 0.352
O: 0.308 0.176 0.682
O: 0.073 0.941 0.401
O: 0.926 0.058 0.599
O: 0.691 0.823 0.318
O: 0.746 0.338 0.648
O: 0.911 0.502 0.768
O: 0.588 0.996 0.398
O: 0.754 0.162 0.519
O: 0.798 0.672 0.846
O: 0.573 0.441 0.567
O: 0.425 0.555 0.764
O: 0.191 0.323 0.484
O: 0.247 0.837 0.813
O: 0.411 0.994 0.937
O: 0.088 0.496 0.564
O: 0.253 0.662 0.685
O: 0.193 0.053 0.874
O: 0.073 0.941 0.734
O: 0.911 0.049 0.931
O: 0.691 0.823 0.651
O: 0.755 0.338 0.981
O: 0.588 0.996 0.731
O: 0.750 0.162 0.851
O: 0.593 0.452 0.901
O: 0.301 0.449 0.958
O: 0.190 0.326 0.816
O: 0.088 0.506 0.895
O: 0.706 0.838 0.987
F: 0.703 0.559 0.044
F: 0.194 0.057 0.209
F: 0.807 0.944 0.126
F: 0.693 0.557 0.375
F: 0.307 0.443 0.292
F: 0.193 0.057 0.542
F: 0.807 0.943 0.458
F: 0.694 0.557 0.708
F: 0.306 0.443 0.625
F: 0.807 0.944 0.791